## Sr6CaY2TiCu6Hg2O20 (PBE)

Data for crystalline Sr6CaY2TiCu6Hg2O20 at its relaxed geometry.

Cell and atoms, written as POSCAR:
```
Sr6CaY2TiCu6Hg2O20
1.0
-0.162 3.598 1.114
-2.193 -3.469 10.881
11.902 -0.187 2.339
Sr Ca Y Ti Cu Hg O
6 1 2 1 6 2 20
direct
0.500 0.000 0.775
0.500 0.338 0.795
0.500 0.662 0.795
0.500 0.000 0.225
0.500 0.338 0.205
0.500 0.662 0.205
0.500 0.000 0.500
0.500 0.332 0.500
0.500 0.668 0.500
0.000 0.500 0.000
0.000 0.833 0.634
0.000 0.167 0.634
0.000 0.500 0.636
0.000 0.833 0.366
0.000 0.167 0.366
0.000 0.500 0.364
0.000 0.831 0.000
0.000 0.169 0.000
0.000 0.000 0.631
0.000 0.334 0.623
0.000 0.666 0.623
0.500 0.828 0.624
0.500 0.172 0.624
0.500 0.500 0.621
0.000 0.000 0.369
0.000 0.334 0.377
0.000 0.666 0.377
0.500 0.828 0.376
0.500 0.172 0.376
0.500 0.500 0.379
0.000 0.835 0.833
0.000 0.165 0.833
0.000 0.500 0.845
0.000 0.835 0.167
0.000 0.165 0.167
0.000 0.500 0.155
0.500 0.387 0.000
0.500 0.613 0.000
```

The value obtained for the magnetic moment is 0.000 μB/f.u. The calculation puts the raw total energy at -231.7 eV per cell. For the formation energy, the calculation gives -2323 meV/atom.